This record from the Materials Project database describes a geometry-optimized Na8Te4W7O36 structure. The functional is PBE with a Hubbard U.

Lattice parameters (Å, degrees): 17.590 17.590 13.385 111.80 111.80 24.39
Fractional coordinates of all 110 atoms:
Na  0.011  0.989  0.500
Na  0.083  0.106  0.253
Na  0.106  0.083  0.753
Na  0.174  0.218  0.143
Na  0.218  0.174  0.643
Na  0.241  0.753  0.742
Na  0.438  0.945  0.397
Na  0.463  0.521  0.987
Na  0.521  0.463  0.487
Na  0.753  0.241  0.242
Na  0.773  0.807  0.531
Na  0.807  0.773  0.031
Na  0.873  0.912  0.748
Na  0.912  0.873  0.248
Na  0.945  0.438  0.897
Na  0.989  0.011  0.000
Te  0.254  0.293  0.517
Te  0.293  0.254  0.017
Te  0.407  0.408  0.755
Te  0.408  0.407  0.255
Te  0.584  0.590  0.239
Te  0.590  0.584  0.739
Te  0.686  0.707  0.104
Te  0.707  0.686  0.604
W  0.019  0.561  0.301
W  0.046  0.523  0.788
W  0.147  0.666  0.497
W  0.150  0.645  0.986
W  0.213  0.777  0.232
W  0.325  0.857  0.989
W  0.353  0.834  0.484
W  0.523  0.046  0.288
W  0.561  0.019  0.801
W  0.645  0.150  0.486
W  0.666  0.147  0.997
W  0.777  0.213  0.732
W  0.834  0.353  0.984
W  0.857  0.325  0.489
O  0.012  0.325  0.311
O  0.038  0.890  0.278
O  0.053  0.474  0.415
O  0.075  0.975  0.197
O  0.076  0.679  0.088
O  0.085  0.452  0.919
O  0.086  0.713  0.621
O  0.099  0.114  0.954
O  0.114  0.099  0.454
O  0.115  0.568  0.410
O  0.147  0.539  0.871
O  0.194  0.720  0.079
O  0.204  0.723  0.545
O  0.208  0.601  0.340
O  0.212  0.227  0.010
O  0.227  0.212  0.510
O  0.238  0.831  0.937
O  0.246  0.603  0.866
O  0.259  0.289  0.255
O  0.271  0.893  0.598
O  0.288  0.787  0.379
O  0.289  0.259  0.755
O  0.292  0.914  0.130
O  0.325  0.012  0.811
O  0.387  0.782  0.826
O  0.398  0.407  0.520
O  0.407  0.398  0.020
O  0.422  0.506  0.265
O  0.430  0.792  0.349
O  0.452  0.085  0.419
O  0.464  0.846  0.563
O  0.468  0.590  0.187
O  0.471  0.837  0.031
O  0.474  0.053  0.915
O  0.493  0.850  0.815
O  0.506  0.422  0.765
O  0.520  0.921  0.213
O  0.539  0.147  0.371
O  0.559  0.896  0.709
O  0.568  0.115  0.910
O  0.577  0.590  0.004
O  0.584  0.999  0.165
O  0.590  0.468  0.687
O  0.590  0.577  0.504
O  0.601  0.208  0.840
O  0.603  0.246  0.366
O  0.620  0.994  0.693
O  0.679  0.076  0.588
O  0.706  0.734  0.504
O  0.713  0.086  0.121
O  0.720  0.194  0.579
O  0.723  0.204  0.045
O  0.734  0.706  0.004
O  0.771  0.813  0.348
O  0.782  0.387  0.326
O  0.787  0.288  0.879
O  0.792  0.430  0.849
O  0.813  0.771  0.848
O  0.831  0.238  0.437
O  0.837  0.471  0.531
O  0.846  0.464  0.063
O  0.850  0.493  0.315
O  0.890  0.038  0.778
O  0.891  0.906  0.437
O  0.893  0.271  0.098
O  0.896  0.559  0.209
O  0.906  0.891  0.937
O  0.914  0.292  0.630
O  0.921  0.520  0.713
O  0.975  0.075  0.697
O  0.994  0.620  0.193
O  0.999  0.584  0.665

Computed properties:
DFT total energy: -6.262 eV per atom
formation enthalpy at 0 K: -89.30 eV per formula unit
space group: Cc
energy with MP2020 corrections: -0.2548 hartree per atom